The following is a PBE calculation of an optimized crystal structure of La9Sb5O5, from the Materials Project database.

mass density	6.2	Mg/m³
formation enthalpy at 0 K	-2.416	eV per atom

Unit cell a=10.473 b=10.473 c=9.398 alpha=90.00 beta=90.00 gamma=90.00
Space group P4/n (No. 85, origin choice 2)
Inequivalent atoms, fractional coordinates:
La1 0.022 0.331 0.002 x8
La2 0.046 0.854 0.656 x8
La3 0.250 0.250 0.671 x2
Sb1 0.053 0.847 0.298 x8
Sb2 0.250 0.250 0.310 x2
O1 0.026 0.871 0.909 x8
O2 0.250 0.250 0.928 x2